Entry 1:
# Na3GaS3 (r2SCAN, relaxed)
data_Na3GaS3
_chemical_formula_sum 'Na24 Ga8 S24'
_cell_length_a 12.066
_cell_length_b 7.626
_cell_length_c 13.593
_cell_angle_alpha 81.60
_cell_angle_beta 90.00
_cell_angle_gamma 90.00
_space_group_name_H-M_alt 'P 1'
_space_group_IT_number 1
_space_group_name_Hall 'P 1'
loop_
_atom_site_label
_atom_site_type_symbol
_atom_site_fract_x
_atom_site_fract_y
_atom_site_fract_z
_atom_site_occupancy
S1 S 0.830 0.801 0.879 1
S2 S 0.812 0.764 0.371 1
Na1 Na 0.270 0.077 0.474 1
S3 S 0.996 0.382 0.901 1
Na2 Na 0.692 0.038 0.760 1
S4 S 0.469 0.911 0.394 1
Na3 Na 0.590 0.608 0.368 1
Na4 Na 0.480 0.421 0.193 1
S5 S 0.170 0.199 0.121 1
S6 S 0.358 0.312 0.851 1
S7 S 0.670 0.301 0.879 1
S8 S 0.890 0.114 0.613 1
S9 S 0.858 0.188 0.149 1
Na5 Na 0.770 0.423 0.526 1
Na6 Na 0.410 0.392 0.632 1
S10 S 0.688 0.264 0.371 1
Na7 Na 0.308 0.962 0.240 1
S11 S 0.312 0.736 0.629 1
Na8 Na 0.090 0.892 0.632 1
S12 S 0.110 0.886 0.387 1
S13 S 0.188 0.236 0.629 1
Na9 Na 0.253 0.001 0.985 1
Na10 Na 0.747 0.999 0.015 1
S14 S 0.610 0.614 0.613 1
Ga1 Ga 0.007 0.320 0.074 1
S15 S 0.642 0.688 0.149 1
S16 S 0.969 0.589 0.606 1
Ga2 Ga 0.023 0.315 0.566 1
S17 S 0.504 0.882 0.901 1
S18 S 0.531 0.089 0.606 1
Na11 Na 0.192 0.462 0.240 1
Ga3 Ga 0.977 0.685 0.434 1
S19 S 0.142 0.812 0.851 1
Na12 Na 0.730 0.923 0.526 1
Ga4 Ga 0.993 0.680 0.926 1
Na13 Na 0.808 0.538 0.760 1
Na14 Na 0.980 0.079 0.807 1
Na15 Na 0.020 0.921 0.193 1
Na16 Na 0.753 0.499 0.015 1
Ga5 Ga 0.507 0.180 0.926 1
Na17 Na 0.247 0.501 0.985 1
S20 S 0.330 0.699 0.121 1
Ga6 Ga 0.523 0.185 0.434 1
Na18 Na 0.910 0.108 0.368 1
Na19 Na 0.669 0.006 0.245 1
Na20 Na 0.331 0.994 0.755 1
Na21 Na 0.230 0.577 0.474 1
Na22 Na 0.169 0.494 0.755 1
Ga7 Ga 0.493 0.820 0.074 1
Na23 Na 0.520 0.579 0.807 1
S21 S 0.496 0.118 0.099 1
Na24 Na 0.831 0.506 0.245 1
S22 S 0.390 0.386 0.387 1
S23 S 0.031 0.411 0.394 1
Ga8 Ga 0.477 0.815 0.566 1
S24 S 0.004 0.618 0.099 1
# E_form	-1.222	eV/atom
# volume	22.1	Å³/atom
# uncorrected energy	-7.83	eV/atom

***

Entry 2:
# Na3GaSe3 (r2SCAN, relaxed)
data_Na3GaSe3
_chemical_formula_sum 'Na12 Ga4 Se12'
_cell_length_a 7.231
_cell_length_b 7.464
_cell_length_c 15.051
_cell_angle_alpha 60.79
_cell_angle_beta 90.00
_cell_angle_gamma 90.00
_space_group_name_H-M_alt 'P 1'
_space_group_IT_number 1
_space_group_name_Hall 'P 1'
loop_
_atom_site_label
_atom_site_type_symbol
_atom_site_fract_x
_atom_site_fract_y
_atom_site_fract_z
_atom_site_occupancy
Na1 Na 0.031 0.944 0.285 1
Se1 Se 0.749 0.656 0.271 1
Ga1 Ga 0.145 0.333 0.082 1
Se2 Se 0.260 0.046 0.072 1
Se3 Se 0.197 0.654 0.926 1
Se4 Se 0.240 0.046 0.572 1
Ga2 Ga 0.855 0.667 0.918 1
Se5 Se 0.303 0.654 0.426 1
Na2 Na 0.469 0.944 0.785 1
Se6 Se 0.249 0.344 0.229 1
Na3 Na 0.501 0.275 0.393 1
Se7 Se 0.251 0.344 0.729 1
Na4 Na 0.503 0.687 0.104 1
Na5 Na 0.997 0.687 0.604 1
Ga3 Ga 0.645 0.667 0.418 1
Se8 Se 0.740 0.954 0.928 1
Se9 Se 0.803 0.346 0.074 1
Na6 Na 0.999 0.275 0.893 1
Na7 Na 0.969 0.056 0.715 1
Se10 Se 0.697 0.346 0.574 1
Na8 Na 0.001 0.725 0.107 1
Na9 Na 0.497 0.313 0.896 1
Se11 Se 0.751 0.656 0.771 1
Na10 Na 0.499 0.725 0.607 1
Se12 Se 0.760 0.954 0.428 1
Na11 Na 0.003 0.313 0.396 1
Ga4 Ga 0.355 0.333 0.582 1
Na12 Na 0.531 0.056 0.215 1
# E_form	-1.154	eV/atom
# volume	25.3	Å³/atom
# uncorrected energy	-10.45	eV/atom

***

Entry 3:
# Nb3Ga (r2SCAN, relaxed)
data_Nb3Ga
_chemical_formula_sum 'Nb6 Ga2'
_cell_length_a 5.185
_cell_length_b 5.185
_cell_length_c 5.185
_cell_angle_alpha 90.00
_cell_angle_beta 90.00
_cell_angle_gamma 90.00
_space_group_name_H-M_alt 'P 1'
_space_group_IT_number 1
_space_group_name_Hall 'P 1'
loop_
_atom_site_label
_atom_site_type_symbol
_atom_site_fract_x
_atom_site_fract_y
_atom_site_fract_z
_atom_site_occupancy
Nb1 Nb 0.000 0.500 0.250 1
Nb2 Nb 0.500 0.750 0.000 1
Nb3 Nb 0.250 0.000 0.500 1
Ga1 Ga 0.500 0.500 0.500 1
Nb4 Nb 0.000 0.500 0.750 1
Nb5 Nb 0.750 0.000 0.500 1
Ga2 Ga 0.000 0.000 0.000 1
Nb6 Nb 0.500 0.250 0.000 1
# E_form	-0.224	eV/atom
# volume	17.4	Å³/atom
# uncorrected energy	-21.64	eV/atom

***

Entry 4:
# Nb3Ga2 (r2SCAN, relaxed)
data_Nb3Ga2
_chemical_formula_sum 'Nb6 Ga4'
_cell_length_a 3.521
_cell_length_b 6.921
_cell_length_c 6.921
_cell_angle_alpha 90.00
_cell_angle_beta 90.00
_cell_angle_gamma 90.00
_space_group_name_H-M_alt 'P 1'
_space_group_IT_number 1
_space_group_name_Hall 'P 1'
loop_
_atom_site_label
_atom_site_type_symbol
_atom_site_fract_x
_atom_site_fract_y
_atom_site_fract_z
_atom_site_occupancy
Nb1 Nb 0.500 0.824 0.324 1
Ga1 Ga 0.000 0.374 0.874 1
Ga2 Ga 0.000 0.126 0.374 1
Ga3 Ga 0.000 0.626 0.126 1
Nb2 Nb 0.500 0.324 0.176 1
Ga4 Ga 0.000 0.874 0.626 1
Nb3 Nb 0.500 0.676 0.824 1
Nb4 Nb 0.500 0.176 0.676 1
Nb5 Nb 0.000 0.500 0.500 1
Nb6 Nb 0.000 0.000 0.000 1
# E_form	-0.452	eV/atom
# volume	16.9	Å³/atom
# uncorrected energy	-19.87	eV/atom

***

Entry 5:
# Nb5Ga4 (r2SCAN, relaxed)
data_Nb5Ga4
_chemical_formula_sum 'Nb10 Ga8'
_cell_length_a 7.975
_cell_length_b 7.975
_cell_length_c 5.456
_cell_angle_alpha 90.00
_cell_angle_beta 90.00
_cell_angle_gamma 120.00
_space_group_name_H-M_alt 'P 1'
_space_group_IT_number 1
_space_group_name_Hall 'P 1'
loop_
_atom_site_label
_atom_site_type_symbol
_atom_site_fract_x
_atom_site_fract_y
_atom_site_fract_z
_atom_site_occupancy
Nb1 Nb 0.333 0.667 0.000 1
Ga1 Ga 0.384 0.384 0.250 1
Nb2 Nb 0.280 0.000 0.250 1
Nb3 Nb 0.000 0.280 0.250 1
Ga2 Ga 0.616 0.000 0.250 1
Nb4 Nb 0.000 0.720 0.750 1
Nb5 Nb 0.720 0.720 0.250 1
Nb6 Nb 0.667 0.333 0.000 1
Nb7 Nb 0.720 0.000 0.750 1
Ga3 Ga 0.000 0.000 0.500 1
Ga4 Ga 0.616 0.616 0.750 1
Ga5 Ga 0.000 0.616 0.250 1
Nb8 Nb 0.280 0.280 0.750 1
Nb9 Nb 0.667 0.333 0.500 1
Ga6 Ga 0.000 0.000 0.000 1
Nb10 Nb 0.333 0.667 0.500 1
Ga7 Ga 0.384 0.000 0.750 1
Ga8 Ga 0.000 0.384 0.750 1
# E_form	-0.418	eV/atom
# volume	16.7	Å³/atom
# uncorrected energy	-19.24	eV/atom

***

Entry 6:
# Nb4GaSe8 (r2SCAN, relaxed)
data_Nb4GaSe8
_chemical_formula_sum 'Nb4 Ga1 Se8'
_cell_length_a 7.433
_cell_length_b 7.433
_cell_length_c 7.433
_cell_angle_alpha 60.00
_cell_angle_beta 60.00
_cell_angle_gamma 60.00
_space_group_name_H-M_alt 'P 1'
_space_group_IT_number 1
_space_group_name_Hall 'P 1'
loop_
_atom_site_label
_atom_site_type_symbol
_atom_site_fract_x
_atom_site_fract_y
_atom_site_fract_z
_atom_site_occupancy
Nb1 Nb 0.397 0.809 0.397 1
Se1 Se 0.635 0.635 0.635 1
Se2 Se 0.134 0.134 0.598 1
Se3 Se 0.134 0.598 0.134 1
Se4 Se 0.635 0.096 0.635 1
Nb2 Nb 0.809 0.397 0.397 1
Se5 Se 0.598 0.134 0.134 1
Nb3 Nb 0.397 0.397 0.809 1
Se6 Se 0.096 0.635 0.635 1
Nb4 Nb 0.397 0.397 0.397 1
Se7 Se 0.134 0.134 0.134 1
Ga1 Ga 0.000 0.000 0.000 1
Se8 Se 0.635 0.635 0.096 1
# E_form	-0.945	eV/atom
# volume	22.3	Å³/atom
# uncorrected energy	-18.24	eV/atom